Here is a relaxed BiO2 crystal from the Materials Project. Energies are from PBE.

Cell: 4.295 4.295 6.602 Å, 71.76 71.76 89.83°
Element x y z (fractional)
O (0.316, 0.076, 0.863)
O (0.924, 0.684, 0.637)
O (0.076, 0.316, 0.363)
O (0.684, 0.924, 0.137)
Bi (0.871, 0.129, 0.750)
Bi (0.129, 0.871, 0.250)

Values from the calculation:
E_tot: -33.435 eV/cell